Mg4Si3 | PBE-GGA | relaxed

abc: 6.596 7.161 12.480
angles: 82.20 87.84 73.66
Space group P1 (No. 1)
Asymmetric unit:
Mg1 0.000 0.000 0.000
Mg2 0.012 0.991 0.469
Mg3 0.084 0.267 0.807
Mg4 0.231 0.923 0.229
Mg5 0.320 0.587 0.917
Mg6 0.371 0.874 0.706
Mg7 0.405 0.459 0.210
Mg8 0.464 0.989 0.923
Mg9 0.494 0.368 0.705
Mg10 0.522 0.855 0.476
Mg11 0.589 0.353 0.444
Mg12 0.719 0.016 0.279
Mg13 0.814 0.609 0.919
Mg14 0.838 0.983 0.755
Mg15 0.924 0.344 0.220
Mg16 0.978 0.557 0.419
Si1 0.069 0.638 0.092
Si2 0.098 0.634 0.723
Si3 0.193 0.266 0.047
Si4 0.259 0.223 0.559
Si5 0.264 0.621 0.544
Si6 0.290 0.203 0.362
Si7 0.575 0.188 0.078
Si8 0.624 0.667 0.290
Si9 0.687 0.285 0.898
Si10 0.692 0.795 0.106
Si11 0.771 0.629 0.644
Si12 0.890 0.284 0.603

Excess energy over the best structure of this formula in the dataset = 0.0949 eV per atom
Energy of formation = 0.098 eV per atom
Magnetization = 0.0 μB/f.u.

***

Mg3Si4 | PBE-GGA | relaxed

abc: 4.328 7.895 7.929
angles: 92.90 101.95 104.51
Space group P1 (No. 1)
Asymmetric unit:
Mg1 0.000 0.000 0.000
Mg2 0.001 0.327 0.759
Mg3 0.074 0.796 0.346
Mg4 0.160 0.730 0.770
Mg5 0.238 0.444 0.179
Mg6 0.694 0.103 0.303
Si1 0.330 0.265 0.475
Si2 0.367 0.084 0.710
Si3 0.491 0.779 0.105
Si4 0.509 0.581 0.592
Si5 0.583 0.263 0.992
Si6 0.637 0.565 0.916
Si7 0.741 0.923 0.612
Si8 0.884 0.464 0.451

Excess energy over the best structure of this formula in the dataset = 0.0510 eV per atom
Energy of formation = 0.145 eV per atom
Magnetization = 0.0 μB/f.u.

***

Mg4Si3 | PBE-GGA | relaxed

abc: 6.312 6.972 7.406
angles: 107.26 102.35 104.09
Space group P1 (No. 1)
Asymmetric unit:
Mg1 0.000 0.000 0.000
Mg2 0.002 0.860 0.475
Mg3 0.099 0.600 0.694
Mg4 0.337 0.355 0.968
Mg5 0.402 0.207 0.441
Mg6 0.454 0.785 0.287
Mg7 0.512 0.010 0.725
Mg8 0.874 0.526 0.018
Si1 0.146 0.450 0.306
Si2 0.500 0.050 0.090
Si3 0.542 0.615 0.563
Si4 0.570 0.723 0.915
Si5 0.870 0.168 0.369
Si6 0.920 0.224 0.715

Excess energy over the best structure of this formula in the dataset = 0.1557 eV per atom
Energy of formation = 0.159 eV per atom
Magnetization = 0.0 μB/f.u.

***

Mg5Si6 | PBE-GGA | relaxed

abc: 5.016 8.371 11.014
angles: 69.74 82.04 82.97
Space group P1 (No. 1)
Asymmetric unit:
Mg1 0.000 0.000 0.000
Mg2 0.003 0.574 0.512
Mg3 0.227 0.687 0.914
Mg4 0.331 0.399 0.177
Mg5 0.441 0.677 0.652
Mg6 0.518 0.767 0.156
Mg7 0.656 0.979 0.393
Mg8 0.808 0.384 0.348
Mg9 0.910 0.161 0.676
Mg10 0.949 0.442 0.841
Si1 0.156 0.000 0.282
Si2 0.165 0.976 0.508
Si3 0.296 0.269 0.442
Si4 0.351 0.183 0.785
Si5 0.455 0.363 0.899
Si6 0.484 0.115 0.093
Si7 0.485 0.392 0.580
Si8 0.615 0.908 0.867
Si9 0.831 0.516 0.079
Si10 0.865 0.215 0.145
Si11 0.893 0.799 0.697
Si12 0.992 0.751 0.259

Excess energy over the best structure of this formula in the dataset = 0.0735 eV per atom
Energy of formation = 0.139 eV per atom
Magnetization = 0.0 μB/f.u.

***

Mg4Si7 | PBE-GGA | relaxed

abc: 4.375 6.676 13.257
angles: 85.17 89.72 89.61
Space group P1 (No. 1)
Asymmetric unit:
Mg1 0.000 0.000 0.000
Mg2 0.000 0.038 0.490
Mg3 0.001 0.187 0.253
Mg4 0.001 0.503 0.064
Mg5 0.001 0.546 0.413
Mg6 0.500 0.878 0.330
Mg7 0.500 0.975 0.671
Mg8 0.502 0.515 0.744
Si1 0.000 0.681 0.626
Si2 0.001 0.740 0.220
Si3 0.002 0.732 0.814
Si4 0.005 0.348 0.857
Si5 0.489 0.110 0.849
Si6 0.499 0.254 0.384
Si7 0.500 0.718 0.525
Si8 0.501 0.351 0.555
Si9 0.502 0.181 0.126
Si10 0.502 0.528 0.239
Si11 0.502 0.811 0.106
Si12 0.503 0.738 0.928
Si13 0.505 0.369 0.961
Si14 0.999 0.303 0.653

Excess energy over the best structure of this formula in the dataset = 0.0693 eV per atom
Energy of formation = 0.215 eV per atom
Magnetization = 0.0 μB/f.u.

***

Mg5Si6 | PBE-GGA | relaxed

abc: 4.120 6.893 14.473
angles: 82.06 85.14 88.21
Space group P-1 (No. 2)
Asymmetric unit:
Mg1 0.055 0.202 0.404
Mg2 0.138 0.780 0.322
Mg3 0.162 0.443 0.177
Mg4 0.206 0.968 0.093
Mg5 0.357 0.888 0.756
Si1 0.261 0.345 0.959
Si2 0.261 0.432 0.539
Si3 0.266 0.716 0.943
Si4 0.317 0.253 0.805
Si5 0.395 0.537 0.687
Si6 0.432 0.079 0.568

Excess energy over the best structure of this formula in the dataset = 0.0289 eV per atom
Energy of formation = 0.095 eV per atom
Magnetization = 0.0 μB/f.u.

***

Mg2Si3 | PBE-GGA | relaxed

abc: 3.682 6.049 17.704
angles: 87.23 84.59 73.73
Space group P1 (No. 1)
Asymmetric unit:
Mg1 0.000 0.000 0.000
Mg2 0.042 0.316 0.697
Mg3 0.115 0.635 0.250
Mg4 0.276 0.350 0.104
Mg5 0.369 0.557 0.808
Mg6 0.434 0.874 0.382
Mg7 0.755 0.892 0.707
Mg8 0.912 0.768 0.531
Si1 0.094 0.484 0.409
Si2 0.109 0.134 0.840
Si3 0.204 0.174 0.503
Si4 0.306 0.360 0.949
Si5 0.323 0.131 0.250
Si6 0.428 0.615 0.640
Si7 0.573 0.745 0.111
Si8 0.639 0.226 0.587
Si9 0.686 0.617 0.978
Si10 0.692 0.359 0.328
Si11 0.705 0.873 0.864
Si12 0.930 0.004 0.156

Excess energy over the best structure of this formula in the dataset = 0.0676 eV per atom
Energy of formation = 0.147 eV per atom
Magnetization = 0.0 μB/f.u.

***

Mg4Si7 | PBE-GGA | relaxed

abc: 7.045 3.935 14.123
angles: 90.00 99.08 90.00
Space group Pm (No. 6)
Asymmetric unit:
Mg1 0.000 0.000 0.000
Mg2 0.001 0.500 0.421
Mg3 0.201 0.000 0.579
Mg4 0.351 0.500 0.260
Mg5 0.425 0.500 0.734
Mg6 0.470 0.000 0.923
Mg7 0.493 0.500 0.490
Mg8 0.910 0.500 0.650
Si1 0.001 0.000 0.246
Si2 0.022 0.500 0.141
Si3 0.141 0.000 0.773
Si4 0.155 0.500 0.886
Si5 0.262 0.000 0.385
Si6 0.308 0.500 0.056
Si7 0.520 0.000 0.127
Si8 0.593 0.000 0.629
Si9 0.603 0.000 0.350
Si10 0.706 0.500 0.048
Si11 0.733 0.500 0.257
Si12 0.775 0.500 0.883
Si13 0.787 0.000 0.783
Si14 0.803 0.000 0.509

Excess energy over the best structure of this formula in the dataset = 0.0294 eV per atom
Energy of formation = 0.176 eV per atom
Magnetization = 0.0 μB/f.u.